Entry 1:
Computed, not measured: a geometry-optimized LiFeAs structure at the GGA-PBE level of DFT.

## Properties
E_tot (eV/atom): -5.1584
Largest piezoelectric modulus (C/m2): 1.8
Magnetic moment (μB/f.u.): 0.0

Unit cell a=4.5375 b=4.5375 c=4.5375 alpha=141.13 beta=141.13 gamma=56.15
With the nearest neighbours (Å) after each atom.
Positions (direct):
1 Li 0.0000 0.0000 0.0000  5 As 2.56-2.59, 5 Fe 2.57-2.58
2 Fe 0.6779 0.6779 0.0000  4 As 2.43, 5 Li 2.57-2.58
3 As 0.3240 0.3240 0.0000  4 Fe 2.43, 5 Li 2.56-2.59

Entry 2:
Computed, not measured: a geometry-optimized PrZnRh structure at the GGA-PBE level of DFT.

## Properties
E_tot (eV/atom): -5.0986

Unit cell a=7.3379 b=4.0584 c=16.6490 alpha=90.00 beta=90.00 gamma=90.00
With the nearest neighbours (Å) after each atom.
Positions (direct):
1 Pr 0.0471 0.2500 0.2165  5 Rh 2.90-3.01
2 Pr 0.1675 0.2500 0.4395  5 Rh 2.98-3.12, 5 Zn 3.16-3.31
3 Pr 0.3325 0.7500 0.9395  5 Rh 2.98-3.12, 5 Zn 3.16-3.31
4 Pr 0.4529 0.7500 0.7165  5 Rh 2.90-3.01
5 Pr 0.5471 0.2500 0.2835  5 Rh 2.90-3.01
6 Pr 0.6675 0.2500 0.0605  5 Rh 2.98-3.12, 5 Zn 3.16-3.31
7 Pr 0.8325 0.7500 0.5605  5 Rh 2.98-3.12, 5 Zn 3.16-3.31
8 Pr 0.9529 0.7500 0.7835  5 Rh 2.90-3.01
9 Zn 0.0014 0.7500 0.0605  4 Rh 2.69-2.78, 2 Zn 2.86
10 Zn 0.1256 0.2500 0.6503  4 Rh 2.66-2.87
11 Zn 0.3744 0.7500 0.1503  4 Rh 2.66-2.87
12 Zn 0.4986 0.2500 0.5605  4 Rh 2.69-2.78, 2 Zn 2.86
13 Zn 0.5014 0.7500 0.4395  4 Rh 2.69-2.78, 2 Zn 2.86
14 Zn 0.6256 0.2500 0.8497  4 Rh 2.66-2.87
15 Zn 0.8744 0.7500 0.3497  4 Rh 2.66-2.87
16 Zn 0.9986 0.2500 0.9395  4 Rh 2.69-2.78, 2 Zn 2.86
17 Rh 0.2419 0.2500 0.0649  5 Zn 2.66-2.75, 1 Pr 2.90
18 Rh 0.2480 0.2500 0.8141  3 Zn 2.78-2.87, 6 Pr 2.98-3.01
19 Rh 0.2520 0.7500 0.3141  3 Zn 2.78-2.87, 6 Pr 2.98-3.01
20 Rh 0.2581 0.7500 0.5649  5 Zn 2.66-2.75, 1 Pr 2.90
21 Rh 0.7419 0.2500 0.4351  5 Zn 2.66-2.75, 1 Pr 2.90
22 Rh 0.7480 0.2500 0.6859  3 Zn 2.78-2.87, 6 Pr 2.98-3.01
23 Rh 0.7520 0.7500 0.1859  3 Zn 2.78-2.87, 6 Pr 2.98-3.01
24 Rh 0.7581 0.7500 0.9351  5 Zn 2.66-2.75, 1 Pr 2.90

Entry 3:
Computed, not measured: a geometry-optimized Sr2H3I structure at the GGA-PBE level of DFT.

## Properties
E_tot (eV/atom): -3.3594

Unit cell a=4.2482 b=4.2482 c=7.7159 alpha=90.00 beta=90.00 gamma=120.00
With the nearest neighbours (Å) after each atom.
Positions (direct):
1 Sr 0.3333 0.6667 0.3213  4 H 2.47
2 Sr 0.6667 0.3333 0.6787  4 H 2.47
3 H 0.0000 0.0000 0.5000  6 H 2.68, 6 Sr 2.81
4 H 0.3333 0.6667 0.6415  4 Sr 2.47, 3 H 2.68
5 H 0.6667 0.3333 0.3585  4 Sr 2.47, 3 H 2.68
6 I 0.0000 0.0000 0.0000  6 Sr 3.49, 8 H 3.70-3.86

no.,theoretical density (g/cm3),ΔE_f (meV per atom)
1,6.26,-146
2,8.29,-630
3,4.20,-909